Entry 1:
Density functional theory data (PBE-GGA) for an optimized crystal structure of Mg14SiBiO16.

Summary:
MP2020-corrected energy = -194.8 eV/cell
SG = Cmmm
Energy relative to the lowest polymorph listed for this composition = 0.96 eV/f.u.
Energy relative to the elements = -60.50 kcal/mol of atoms

Cell lengths 8.8116, 8.8116, 4.3989 Å; angles 90.00, 90.00, 91.40 degrees
Closest atoms and distances in Å follow each position.
Atoms (fractional coordinates):
Mg: 0.0000 0.5000 0.0000  6 O 1.99-2.20
Mg: 0.0010 0.2508 0.5000  6 O 2.17-2.21
Mg: 0.2355 0.5041 0.5000  5 O 2.07-2.23
Mg: 0.2411 0.7589 0.0000  6 O 2.12-2.20
Mg: 0.2467 0.2467 0.0000  4 O 2.13-2.20
Mg: 0.2508 0.0010 0.5000  6 O 2.17-2.21
Mg: 0.4959 0.7645 0.5000  5 O 2.07-2.23
Mg: 0.5000 0.0000 0.0000  6 O 1.99-2.20
Mg: 0.5041 0.2355 0.5000  5 O 2.07-2.23
Mg: 0.7492 0.9990 0.5000  6 O 2.17-2.21
Mg: 0.7533 0.7533 0.0000  4 O 2.13-2.20
Mg: 0.7589 0.2411 0.0000  6 O 2.12-2.20
Mg: 0.7645 0.4959 0.5000  5 O 2.07-2.23
Mg: 0.9990 0.7492 0.5000  6 O 2.17-2.21
Si: 0.0000 0.0000 0.0000  6 O 2.20-2.26
Bi: 0.5000 0.5000 0.0000  6 O 2.20-2.43
O: 0.0000 0.0000 0.5000  2 Si 2.20, 4 Mg 2.21
O: 0.0000 0.5000 0.5000  6 Mg 2.07-2.20
O: 0.0055 0.2568 0.0000  5 Mg 2.13-2.20, 1 Si 2.26
O: 0.2253 0.5187 0.0000  4 Mg 1.99-2.21
O: 0.2452 0.7548 0.5000  6 Mg 2.17-2.21
O: 0.2514 0.2514 0.5000  6 Mg 2.20-2.23
O: 0.2568 0.0055 0.0000  5 Mg 2.13-2.20, 1 Si 2.26
O: 0.4813 0.7747 0.0000  4 Mg 1.99-2.21
O: 0.5000 0.0000 0.5000  6 Mg 2.07-2.20
O: 0.5000 0.5000 0.5000  2 Bi 2.20, 4 Mg 2.33
O: 0.5187 0.2253 0.0000  4 Mg 1.99-2.21
O: 0.7432 0.9945 0.0000  5 Mg 2.13-2.20, 1 Si 2.26
O: 0.7486 0.7486 0.5000  6 Mg 2.20-2.23
O: 0.7548 0.2452 0.5000  6 Mg 2.17-2.21
O: 0.7747 0.4813 0.0000  4 Mg 1.99-2.21
O: 0.9945 0.7432 0.0000  5 Mg 2.13-2.20, 1 Si 2.26



Entry 2:
Density functional theory data (PBE-GGA) for an optimized crystal structure of Tb3AlFeS7.

Summary:
MP2020-corrected energy = -154.2 eV/cell
SG = P6_3
Energy relative to the elements = -42.34 kcal/mol of atoms

Cell lengths 9.8819, 9.8819, 5.8270 Å; angles 90.00, 90.00, 120.00 degrees
Closest atoms and distances in Å follow each position.
Atoms (fractional coordinates):
Tb: 0.1321 0.7601 0.0000  7 S 2.76-3.01
Tb: 0.2399 0.3721 0.0000  7 S 2.76-3.01
Tb: 0.3721 0.1321 0.5000  7 S 2.76-3.01
Tb: 0.6279 0.8679 0.0000  7 S 2.76-3.01
Tb: 0.7601 0.6279 0.5000  7 S 2.76-3.01
Tb: 0.8679 0.2399 0.5000  7 S 2.76-3.01
Al: 0.3333 0.6667 0.4205  4 S 2.21-2.25
Al: 0.6667 0.3333 0.9205  4 S 2.21-2.25
Fe: 0.0000 0.0000 0.2624  6 S 2.50-2.57
Fe: 0.0000 0.0000 0.7624  6 S 2.50-2.57
S: 0.0865 0.8468 0.5230  2 Fe 2.50-2.57
S: 0.0970 0.5117 0.2620  1 Al 2.25
S: 0.1532 0.2397 0.5230  2 Fe 2.50-2.57
S: 0.2397 0.0865 0.0230  2 Fe 2.50-2.57
S: 0.3333 0.6667 0.7993  1 Al 2.21
S: 0.4148 0.9030 0.2620  1 Al 2.25
S: 0.4883 0.5852 0.2620  1 Al 2.25
S: 0.5117 0.4148 0.7620  1 Al 2.25
S: 0.5852 0.0970 0.7620  1 Al 2.25
S: 0.6667 0.3333 0.2993  1 Al 2.21
S: 0.7603 0.9135 0.5230  2 Fe 2.50-2.57
S: 0.8468 0.7603 0.0230  2 Fe 2.50-2.57
S: 0.9030 0.4883 0.7620  1 Al 2.25
S: 0.9135 0.1532 0.0230  2 Fe 2.50-2.57



Entry 3:
Density functional theory data (PBE-GGA) for an optimized crystal structure of SrGeP2O8.

Summary:
MP2020-corrected energy = -90.2 eV/cell
SG = C2/m
Energy relative to the lowest polymorph listed for this composition = 0.03 eV/f.u.
Energy relative to the elements = -64.38 kcal/mol of atoms

Cell lengths 4.7476, 4.7476, 7.4977 Å; angles 93.27, 93.27, 65.41 degrees
Closest atoms and distances in Å follow each position.
Atoms (fractional coordinates):
Sr: 0.0000 0.0000 0.0000  6 O 2.63-2.68
Ge: 0.0000 0.0000 0.5000  6 O 1.85-1.92
P: 0.3653 0.3653 0.7061  4 O 1.52-1.57
P: 0.6347 0.6347 0.2939  4 O 1.52-1.57
O: 0.2305 0.2305 0.5500  1 P 1.54
O: 0.2306 0.7265 0.6862  1 P 1.57
O: 0.2735 0.7694 0.3138  1 P 1.57
O: 0.3080 0.3080 0.8951  1 P 1.52
O: 0.6920 0.6920 0.1049  1 P 1.52
O: 0.7265 0.2306 0.6862  1 P 1.57
O: 0.7694 0.2735 0.3138  1 P 1.57
O: 0.7695 0.7695 0.4500  1 P 1.54



Entry 4:
Density functional theory data (PBE-GGA) for an optimized crystal structure of Ba20Ga5Ru7O44.

Summary:
MP2020-corrected energy = -526.7 eV/cell
SG = Pm
Energy relative to the elements = -57.80 kcal/mol of atoms

Cell lengths 11.2677, 5.8977, 19.0930 Å; angles 90.00, 90.23, 90.00 degrees
Closest atoms and distances in Å follow each position.
Atoms (fractional coordinates):
Ba: 0.0000 0.0000 0.0000  2 O 2.52-2.73
Ba: 0.0155 0.5000 0.2721  11 O 2.87-3.18
Ba: 0.0818 0.0000 0.4139  6 O 2.61-2.79
Ba: 0.1041 0.5000 0.8142  8 O 2.79-3.06
Ba: 0.1589 0.0000 0.6793  8 O 2.80-3.09
Ba: 0.1762 0.5000 0.0767  6 O 2.56-2.82
Ba: 0.2296 0.0000 0.2199  7 O 2.72-3.01
Ba: 0.2606 0.5000 0.4956  2 O 2.49-2.78
Ba: 0.3216 0.0000 0.8846  9 O 2.77-2.96
Ba: 0.4466 0.0000 0.3832  6 O 2.61-2.91
Ba: 0.5006 0.5000 0.9966  2 O 2.52-2.76
Ba: 0.5235 0.0000 0.7201  9 O 2.75-3.02
Ba: 0.5862 0.5000 0.5768  6 O 2.56-2.82
Ba: 0.6114 0.0000 0.1845  8 O 2.78-3.01
Ba: 0.6672 0.5000 0.3137  10 O 2.81-3.13
Ba: 0.6785 0.0000 0.9174  6 O 2.59-2.80
Ba: 0.7357 0.5000 0.7731  9 O 2.75-3.03
Ba: 0.7605 0.0000 0.4920  1 O 2.53
Ba: 0.8230 0.5000 0.1103  9 O 2.78-2.96
Ba: 0.9390 0.5000 0.6084  9 O 2.74-2.95
Ga: 0.3697 0.0000 0.0582  4 O 1.82-1.87
Ga: 0.3923 0.0000 0.5566  4 O 1.82-1.88
Ga: 0.8287 0.0000 0.3142  5 O 1.90-2.11
Ga: 0.8689 0.5000 0.9351  4 O 1.82-1.88
Ga: 0.8943 0.5000 0.4360  4 O 1.84-1.86
Ru: 0.3342 0.5000 0.6842  6 O 1.91-2.08
Ru: 0.3372 0.5000 0.3133  6 O 1.90-2.11
Ru: 0.4239 0.5000 0.8142  6 O 1.91-2.13
Ru: 0.4270 0.5000 0.1848  6 O 1.90-2.06
Ru: 0.8397 0.0000 0.6829  6 O 1.91-2.11
Ru: 0.9241 0.0000 0.1798  6 O 1.93-2.07
Ru: 0.9252 0.0000 0.8058  6 O 1.91-2.07
O: 0.0073 0.0000 0.2742  1 Ru 2.03, 1 Ga 2.16
O: 0.0278 0.2360 0.1458  1 Ru 1.93
O: 0.0278 0.7640 0.1458  1 Ru 1.93
O: 0.0416 0.5000 0.4786  1 Ga 1.85
O: 0.0875 0.0000 0.8354  1 Ru 1.91
O: 0.1696 0.5000 0.6591  1 Ru 1.91
O: 0.2219 0.0000 0.0172  1 Ga 1.84
O: 0.2372 0.2646 0.3462  1 Ru 1.90
O: 0.2372 0.7354 0.3462  1 Ru 1.90
O: 0.2528 0.5000 0.2176  2 Ru 2.06
O: 0.2676 0.0000 0.4957  1 Ga 1.82
O: 0.3098 0.2674 0.7615  2 Ru 2.03-2.13
O: 0.3098 0.7326 0.7615  2 Ru 2.03-2.13
O: 0.3215 0.5000 0.8973  1 Ru 1.96
O: 0.3793 0.2589 0.6133  1 Ga 1.88, 1 Ru 2.03
O: 0.3793 0.7411 0.6133  1 Ga 1.88, 1 Ru 2.03
O: 0.3818 0.2608 0.1135  1 Ga 1.87, 1 Ru 2.02
O: 0.3818 0.7392 0.1135  1 Ga 1.87, 1 Ru 2.02
O: 0.4391 0.5000 0.3955  1 Ru 1.94
O: 0.4501 0.2712 0.2611  2 Ru 2.00-2.11
O: 0.4501 0.7288 0.2611  2 Ru 2.00-2.11
O: 0.4912 0.0000 0.9954  1 Ga 1.82
O: 0.5103 0.5000 0.7173  2 Ru 2.08-2.09
O: 0.5250 0.2610 0.8463  1 Ru 1.91
O: 0.5250 0.7390 0.8463  1 Ru 1.91
O: 0.5407 0.0000 0.5178  1 Ga 1.83
O: 0.5885 0.5000 0.1565  1 Ru 1.90
O: 0.6647 0.0000 0.3375  1 Ga 1.90
O: 0.7206 0.5000 0.9746  1 Ga 1.84
O: 0.7375 0.2344 0.6487  1 Ru 1.91
O: 0.7375 0.7656 0.6487  1 Ru 1.91
O: 0.7484 0.0000 0.7769  2 Ru 2.07
O: 0.7713 0.5000 0.4992  1 Ga 1.84
O: 0.8137 0.2288 0.2294  1 Ru 2.07, 1 Ga 2.11
O: 0.8137 0.7712 0.2294  1 Ru 2.07, 1 Ga 2.11
O: 0.8210 0.0000 0.0961  1 Ru 1.97
O: 0.8804 0.2441 0.3796  2 Ga 1.86-1.99
O: 0.8804 0.7559 0.3796  2 Ga 1.86-1.99
O: 0.8824 0.2405 0.8787  1 Ga 1.88, 1 Ru 2.05
O: 0.8824 0.7595 0.8787  1 Ga 1.88, 1 Ru 2.05
O: 0.9372 0.0000 0.5992  1 Ru 1.94
O: 0.9547 0.2365 0.7307  2 Ru 2.03-2.11
O: 0.9547 0.7635 0.7307  2 Ru 2.03-2.11
O: 0.9924 0.5000 0.9970  1 Ga 1.82



What is the energy relative to the elements in the first record? -60.50 kcal/mol of atoms



energy relative to the elements of number 2 (Tb3AlFeS7)? -42.34 kcal/mol of atoms